1.
Cs2P4Pd3O14: relaxed, PBE.

Computed properties:
theoretical density: 3.73 g/cm³
corrected total energy (MP2020 scheme): -6.896 eV per atom
electronic total energy: -6.478 eV/atom
energy relative to the elements: -2.19 eV per atom

a b c (Å): 8.2939 8.2939 14.6363
angles (deg): 90.00 90.00 124.34
Sites, in units of the cell vectors:
O 0.2682 0.0913 0.7965
O 0.5375 0.1049 0.1260
O 0.4338 0.5662 0.3028
O 0.5058 0.8907 0.9975
Pd 0.6259 0.3741 0.4336
P 0.6717 0.6971 0.2946
O 0.2772 0.3417 0.6991
O 0.8907 0.5058 0.4975
O 0.9432 0.6815 0.9910
O 0.7228 0.6583 0.1991
Pd 0.8888 0.1112 0.3956
P 0.4019 0.9677 0.0509
Cs 0.0665 0.9335 0.5898
Pd 0.3741 0.6259 0.9336
O 0.0568 0.3185 0.4910
Cs 0.7824 0.2176 0.8249
O 0.2477 0.3565 0.8748
Cs 0.9335 0.0665 0.0898
P 0.3283 0.3029 0.7946
Cs 0.2176 0.7824 0.3249
O 0.5662 0.4338 0.8028
O 0.2192 0.7808 0.1055
P 0.0323 0.5981 0.0509
P 0.3029 0.3283 0.2946
Pd 0.6206 0.3794 0.1618
P 0.9677 0.4019 0.5509
O 0.7523 0.6435 0.3748
O 0.7318 0.9087 0.2965
O 0.3185 0.0568 0.9910
O 0.1049 0.5375 0.6260
O 0.3417 0.2772 0.1991
Pd 0.1112 0.8888 0.8956
O 0.3565 0.2477 0.3748
O 0.4625 0.8951 0.6260
O 0.8951 0.4625 0.1260
Pd 0.3794 0.6206 0.6618
O 0.1093 0.4942 0.9975
O 0.6815 0.9432 0.4910
O 0.0913 0.2682 0.2965
O 0.7808 0.2192 0.6055
P 0.6971 0.6717 0.7946
O 0.6583 0.7228 0.6991
O 0.9087 0.7318 0.7965
P 0.5981 0.0323 0.5509
O 0.6435 0.7523 0.8748
O 0.4942 0.1093 0.4975



2.
CsPrP4O12: relaxed, PBE.

Computed properties:
theoretical density: 3.27 g/cm³
corrected total energy (MP2020 scheme): -7.739 eV per atom
electronic total energy: -7.281 eV/atom
ΔE to the lowest computed polymorph: 0.000 eV/f.u.
piezoelectric modulus e_max: 0.14 C/m²
energy relative to the elements: -2.92 eV per atom

a b c (Å): 9.3540 7.2624 8.9377
angles (deg): 80.51 90.00 90.00
Sites, in units of the cell vectors:
O 0.5971 0.0463 0.2004
Pr 0.9961 0.7997 0.3022
O 0.8390 0.2748 0.3879
O 0.9657 0.5089 0.1834
O 0.2486 0.1521 0.5943
O 0.4823 0.7871 0.3622
O 0.3389 0.7252 0.6121
O 0.7486 0.8479 0.4057
O 0.2345 0.6622 0.3668
O 0.0513 0.9268 0.5279
O 0.7345 0.3378 0.6332
P 0.2210 0.9158 0.9278
P 0.1054 0.0615 0.6245
O 0.9823 0.2129 0.6378
O 0.4410 0.4580 0.4915
O 0.5329 0.8431 0.7696
Cs 0.3309 0.3301 0.1727
P 0.6054 0.9385 0.3755
O 0.6481 0.1417 0.9242
O 0.1481 0.8583 0.0758
P 0.8699 0.3550 0.5431
P 0.9225 0.3077 0.2267
O 0.0329 0.1569 0.2304
O 0.3266 0.0738 0.9084
O 0.5513 0.0732 0.4721
O 0.0971 0.9537 0.7996
O 0.2940 0.7248 0.8872
O 0.7940 0.2752 0.1128
O 0.8266 0.9262 0.0916
O 0.9410 0.5420 0.5085
P 0.3699 0.6450 0.4569
O 0.4657 0.4911 0.8166
Cs 0.8309 0.6699 0.8273
P 0.7210 0.0842 0.0722
P 0.4225 0.6923 0.7733
Pr 0.4961 0.2003 0.6978



3.
CsPrP4O12: relaxed, PBE.

Computed properties:
theoretical density: 3.65 g/cm³
corrected total energy (MP2020 scheme): -7.732 eV per atom
electronic total energy: -7.274 eV/atom
ΔE to the lowest computed polymorph: 0.126 eV/f.u.
energy relative to the elements: -2.92 eV per atom

a b c (Å): 9.1997 10.6748 13.2023
angles (deg): 55.82 90.00 90.00
Sites, in units of the cell vectors:
P 0.3244 0.6762 0.8627
O 0.2445 0.5732 0.4858
O 0.5371 0.3663 0.1706
O 0.7941 0.2774 0.2448
P 0.1756 0.6762 0.3627
O 0.8434 0.6998 0.4869
O 0.5501 0.2646 0.9007
O 0.9207 0.9247 0.2240
O 0.8401 0.1595 0.6568
O 0.2059 0.7226 0.7552
Cs 0.5660 0.2261 0.4607
O 0.3401 0.8405 0.8432
Pr 0.7742 0.6833 0.3182
O 0.0371 0.6337 0.3294
O 0.2947 0.1617 0.9080
O 0.7445 0.4268 0.0142
O 0.5357 0.5785 0.3224
O 0.4643 0.4215 0.6776
P 0.6024 0.8002 0.0247
O 0.9017 0.8792 0.7934
P 0.6756 0.3238 0.1373
Cs 0.9340 0.2261 0.9607
O 0.8233 0.5119 0.2486
O 0.2053 0.1617 0.4080
O 0.7947 0.8383 0.5920
O 0.0793 0.0753 0.7760
P 0.8244 0.3238 0.6373
O 0.6599 0.1595 0.1568
O 0.9629 0.3663 0.6706
P 0.1024 0.1998 0.4753
O 0.2555 0.5732 0.9858
O 0.0357 0.4215 0.1776
O 0.1599 0.8405 0.3432
P 0.3976 0.1998 0.9753
Pr 0.2258 0.3167 0.6818
P 0.8976 0.8002 0.5247
P 0.9066 0.3844 0.2594
O 0.4620 0.0466 0.0963
O 0.3434 0.3002 0.0131
O 0.6767 0.5119 0.7486
O 0.4017 0.1208 0.7066
Cs 0.4340 0.7739 0.5393
P 0.4066 0.6156 0.2406
P 0.5934 0.3844 0.7594
O 0.5793 0.9247 0.7240
O 0.4629 0.6337 0.8294
O 0.9620 0.9534 0.4037
P 0.0934 0.6156 0.7406
P 0.4691 0.9669 0.7843
O 0.0380 0.0466 0.5963
O 0.1566 0.3002 0.5131
O 0.9499 0.2646 0.4007
O 0.7053 0.8383 0.0920
O 0.2941 0.7226 0.2552
P 0.5309 0.0331 0.2157
O 0.0983 0.1208 0.2066
O 0.4207 0.0753 0.2760
O 0.7059 0.2774 0.7448
O 0.6566 0.6998 0.9869
O 0.5983 0.8792 0.2934
O 0.7555 0.4268 0.5142
O 0.1767 0.4881 0.7514
Pr 0.2742 0.3167 0.1818
O 0.4499 0.7354 0.0993
Pr 0.7258 0.6833 0.8182
O 0.0501 0.7354 0.5993
O 0.3233 0.4881 0.2514
P 0.0309 0.9669 0.2843
O 0.9643 0.5785 0.8224
P 0.9691 0.0331 0.7157
O 0.5380 0.9534 0.9037
Cs 0.0660 0.7739 0.0393



4.
CsPSO2: relaxed, PBE.

Computed properties:
theoretical density: 2.98 g/cm³
corrected total energy (MP2020 scheme): -6.173 eV per atom
electronic total energy: -5.798 eV/atom
energy relative to the elements: -2.11 eV per atom

a b c (Å): 8.0139 8.1894 8.8424
angles (deg): 83.42 65.42 74.47
Sites, in units of the cell vectors:
O 0.2570 0.0106 0.1734
S 0.6771 0.2560 0.5976
O 0.5687 0.8007 0.0596
Cs 0.6616 0.3537 0.1601
P 0.2195 0.1958 0.0823
O 0.9113 0.8135 0.9960
S 0.3229 0.7440 0.4024
S 0.1517 0.3837 0.2344
O 0.7430 0.9894 0.8266
P 0.5728 0.0914 0.7687
P 0.7805 0.8042 0.9177
Cs 0.1409 0.1654 0.6377
O 0.4825 0.9708 0.7327
P 0.4272 0.9086 0.2313
O 0.0887 0.1865 0.0040
Cs 0.3384 0.6463 0.8399
O 0.4313 0.1993 0.9404
Cs 0.8591 0.8346 0.3623
S 0.8483 0.6163 0.7656
O 0.5175 0.0292 0.2673



5.
CsPSO2: relaxed, PBE.

Computed properties:
theoretical density: 2.95 g/cm³
corrected total energy (MP2020 scheme): -6.182 eV per atom
electronic total energy: -5.806 eV/atom
energy relative to the elements: -2.11 eV per atom

a b c (Å): 8.5364 13.2168 13.6610
angles (deg): 88.54 90.00 90.00
Sites, in units of the cell vectors:
S 0.1390 0.0802 0.9406
O 0.2375 0.1192 0.7392
Cs 0.0011 0.9018 0.7447
O 0.8024 0.5417 0.7596
P 0.1910 0.6204 0.8506
O 0.8982 0.2836 0.1319
P 0.3336 0.1098 0.6354
P 0.1664 0.6098 0.6354
O 0.1018 0.7164 0.8681
S 0.1785 0.0677 0.5376
O 0.6976 0.0417 0.7596
Cs 0.2780 0.8370 0.0337
Cs 0.5011 0.5982 0.2553
S 0.6785 0.4323 0.4624
Cs 0.7887 0.1816 0.5761
P 0.9524 0.4824 0.7605
O 0.6018 0.7836 0.1319
S 0.0501 0.6656 0.2241
O 0.9308 0.2972 0.3851
S 0.3610 0.5802 0.9406
P 0.5476 0.9824 0.7605
S 0.8610 0.9198 0.0594
Cs 0.7113 0.6816 0.5761
Cs 0.2887 0.3184 0.4239
P 0.3090 0.1204 0.8506
Cs 0.9989 0.0982 0.2553
S 0.8215 0.9323 0.4624
O 0.4447 0.0118 0.6618
O 0.0682 0.5248 0.8474
O 0.9447 0.4882 0.3382
O 0.4308 0.2028 0.6149
O 0.0692 0.7028 0.6149
S 0.5501 0.8344 0.7759
P 0.8090 0.3796 0.1494
Cs 0.7220 0.1630 0.9663
O 0.5692 0.7972 0.3851
O 0.7625 0.8808 0.2608
O 0.7375 0.3808 0.2608
Cs 0.2220 0.3370 0.0337
P 0.6664 0.8902 0.3646
S 0.4499 0.1656 0.2241
Cs 0.4989 0.4018 0.7447
P 0.6910 0.8796 0.1494
O 0.9318 0.4752 0.1526
O 0.2625 0.6192 0.7392
O 0.4318 0.0248 0.8474
P 0.0476 0.5176 0.2395
O 0.5682 0.9752 0.1526
S 0.6390 0.4198 0.0594
O 0.3024 0.9583 0.2404
S 0.3215 0.5677 0.5376
O 0.3982 0.2164 0.8681
Cs 0.7780 0.6630 0.9663
O 0.0553 0.5118 0.6618
P 0.4524 0.0176 0.2395
S 0.9499 0.3344 0.7759
O 0.1976 0.4583 0.2404
O 0.5553 0.9882 0.3382
P 0.8336 0.3902 0.3646
Cs 0.2113 0.8184 0.4239



6.
CsSb2PO8: relaxed, PBE.

Computed properties:
theoretical density: 4.38 g/cm³
corrected total energy (MP2020 scheme): -6.737 eV per atom
electronic total energy: -6.279 eV/atom
energy relative to the elements: -2.22 eV per atom

a b c (Å): 9.9501 9.9501 13.9371
angles (deg): 61.90 61.90 43.01
Sites, in units of the cell vectors:
O 0.5962 0.5962 0.8943
O 0.3889 0.3889 0.9363
O 0.4867 0.4867 0.4079
O 0.6623 0.6623 0.5601
O 0.3377 0.3377 0.4399
Cs 0.8897 0.8897 0.9278
O 0.4504 0.8038 0.4326
O 0.6111 0.6111 0.0637
O 0.5496 0.1962 0.5674
Sb 0.3734 0.3734 0.2699
O 0.2476 0.2476 0.7747
Cs 0.1360 0.1360 0.5858
O 0.0898 0.4980 0.3078
O 0.2858 0.6444 0.2400
O 0.5133 0.5133 0.5921
P 0.6590 0.6590 0.9375
O 0.4106 0.8259 0.2298
P 0.3410 0.3410 0.0625
O 0.1090 0.4604 0.1038
Sb 0.4567 0.9548 0.2693
Sb 0.6266 0.6266 0.7301
O 0.4038 0.4038 0.1057
O 0.9102 0.5020 0.6922
Sb 0.5488 0.5488 0.2369
O 0.5396 0.8910 0.8962
O 0.3556 0.7142 0.7600
P 0.6075 0.6075 0.5040
O 0.7142 0.3556 0.7600
O 0.8259 0.4106 0.2298
O 0.8910 0.5396 0.8962
Cs 0.1103 0.1103 0.0722
Sb 0.5433 0.0452 0.7307
O 0.4980 0.0898 0.3078
P 0.3925 0.3925 0.4960
O 0.1962 0.5496 0.5674
O 0.8396 0.8396 0.6896
O 0.1741 0.5894 0.7702
Cs 0.8640 0.8640 0.4142
O 0.5020 0.9102 0.6922
Sb 0.4512 0.4512 0.7631
O 0.5894 0.1741 0.7702
Sb 0.0452 0.5433 0.7307
O 0.4604 0.1090 0.1038
Sb 0.9548 0.4567 0.2693
O 0.8038 0.4504 0.4326
O 0.1604 0.1604 0.3104
O 0.7524 0.7524 0.2253
O 0.6444 0.2858 0.2400



7.
Cs3PSe2O12: relaxed, PBE.

Computed properties:
theoretical density: 3.31 g/cm³
corrected total energy (MP2020 scheme): -5.688 eV per atom
electronic total energy: -5.230 eV/atom
energy relative to the elements: -1.55 eV per atom

a b c (Å): 8.1815 9.3503 11.1917
angles (deg): 100.61 111.44 90.00
Sites, in units of the cell vectors:
O 0.5822 0.7726 0.6586
O 0.0764 0.2726 0.6586
Se 0.7007 0.9273 0.6782
O 0.5924 0.0737 0.7070
O 0.6428 0.6713 0.8909
O 0.4178 0.2274 0.3414
O 0.5579 0.1438 0.0528
O 0.7981 0.4208 0.5409
Cs 0.8018 0.1083 0.3461
O 0.4949 0.6438 0.0528
Cs 0.4557 0.3917 0.6539
Cs 0.9103 0.2500 0.0000
O 0.7518 0.8287 0.1091
O 0.4421 0.8562 0.9472
Cs 0.0897 0.7500 0.0000
O 0.2572 0.0792 0.4591
O 0.9090 0.4425 0.8039
O 0.2482 0.1713 0.8909
Se 0.2993 0.0727 0.3218
O 0.0910 0.5575 0.1961
O 0.7428 0.9208 0.5409
O 0.9236 0.7274 0.3414
O 0.4076 0.9263 0.2930
Cs 0.1982 0.8917 0.6539
O 0.1051 0.0575 0.1961
Se 0.0225 0.5727 0.3218
O 0.8854 0.4263 0.2930
O 0.8949 0.9425 0.8039
P 0.4179 0.2500 0.0000
Se 0.9775 0.4273 0.6782
O 0.3572 0.3287 0.1091
O 0.1146 0.5737 0.7070
O 0.5051 0.3562 0.9472
O 0.2019 0.5792 0.4591
Cs 0.5443 0.6083 0.3461
P 0.5821 0.7500 0.0000